Entry 1:
A plane-wave DFT calculation with GGA-PBE was carried out for a relaxed structure of Bi5P6O24.

Calculated values
theoretical density = 4.82 g cm⁻³
formation enthalpy at 0 K = -76.6 eV/f.u.
SG = No. 1

Lattice parameters (Å, degrees): 8.936 8.943 8.964 108.74 110.18 108.80
Atoms (fractional coordinates):
Bi1 0.000 0.000 0.000
Bi2 0.021 0.027 0.504
Bi3 0.352 0.809 0.176
Bi4 0.553 0.179 0.846
Bi5 0.689 0.507 0.350
P1 0.147 0.766 0.726
P2 0.273 0.361 0.970
P3 0.395 0.253 0.466
P4 0.658 0.898 0.599
P5 0.764 0.126 0.228
P6 0.901 0.637 0.105
O1 0.095 0.663 0.166
O2 0.127 0.244 0.767
O3 0.176 0.832 0.923
O4 0.185 0.934 0.695
O5 0.196 0.307 0.085
O6 0.252 0.084 0.277
O7 0.278 0.695 0.701
O8 0.334 0.562 0.017
O9 0.371 0.421 0.498
O10 0.378 0.188 0.604
O11 0.451 0.343 0.012
O12 0.469 0.762 0.426
O13 0.587 0.942 0.105
O14 0.590 0.327 0.491
O15 0.685 0.091 0.670
O16 0.690 0.848 0.754
O17 0.714 0.274 0.203
O18 0.763 0.445 0.943
O19 0.801 0.874 0.539
O20 0.849 0.165 0.426
O21 0.869 0.669 0.272
O22 0.875 0.778 0.051
O23 0.907 0.137 0.166
O24 0.951 0.606 0.593

=====

Entry 2:
A plane-wave DFT calculation with GGA-PBE was carried out for a relaxed structure of BiP3O9.

Calculated values
theoretical density = 4.16 g cm⁻³
formation enthalpy at 0 K = -32.3 eV/f.u.
SG = No. 14

Lattice parameters (Å, degrees): 7.278 7.043 13.897 90.00 93.10 90.00
Atoms (fractional coordinates):
Bi1 0.241 0.137 0.069
Bi2 0.241 0.363 0.569
Bi3 0.759 0.637 0.431
Bi4 0.759 0.863 0.931
P1 0.237 0.685 0.365
P2 0.237 0.815 0.865
P3 0.294 0.101 0.326
P4 0.294 0.399 0.826
P5 0.294 0.608 0.158
P6 0.294 0.892 0.658
P7 0.706 0.108 0.342
P8 0.706 0.392 0.842
P9 0.706 0.601 0.174
P10 0.706 0.899 0.674
P11 0.763 0.185 0.135
P12 0.763 0.315 0.635
O1 0.088 0.609 0.427
O2 0.088 0.891 0.927
O3 0.193 0.596 0.845
O4 0.193 0.904 0.345
O5 0.201 0.589 0.261
O6 0.201 0.911 0.761
O7 0.206 0.037 0.590
O8 0.206 0.463 0.090
O9 0.217 0.175 0.231
O10 0.217 0.325 0.731
O11 0.280 0.229 0.411
O12 0.280 0.271 0.911
O13 0.295 0.688 0.628
O14 0.295 0.812 0.128
O15 0.431 0.656 0.404
O16 0.431 0.844 0.904
O17 0.499 0.532 0.187
O18 0.499 0.968 0.687
O19 0.501 0.032 0.313
O20 0.501 0.468 0.813
O21 0.569 0.156 0.096
O22 0.569 0.344 0.596
O23 0.705 0.188 0.872
O24 0.705 0.312 0.372
O25 0.720 0.729 0.089
O26 0.720 0.771 0.589
O27 0.783 0.675 0.269
O28 0.783 0.825 0.769
O29 0.794 0.537 0.910
O30 0.794 0.963 0.410
O31 0.799 0.089 0.239
O32 0.799 0.411 0.739
O33 0.807 0.096 0.655
O34 0.807 0.404 0.155
O35 0.912 0.109 0.073
O36 0.912 0.391 0.573

=====

Entry 3:
A plane-wave DFT calculation with GGA-PBE was carried out for a relaxed structure of BiPO5.

Calculated values
theoretical density = 5.19 g cm⁻³
formation enthalpy at 0 K = -13.3 eV/f.u.
SG = No. 43

Lattice parameters (Å, degrees): 9.360 7.407 10.711 58.89 42.65 78.46
Atoms (fractional coordinates):
Bi1 0.256 0.744 0.498
Bi2 0.744 0.256 0.502
Bi3 0.748 0.752 0.506
Bi4 0.752 0.748 0.994
P1 0.161 0.588 0.913
P2 0.337 0.912 0.089
P3 0.588 0.161 0.338
P4 0.912 0.337 0.662
O1 0.030 0.761 0.936
O2 0.032 0.377 0.145
O3 0.105 0.804 0.218
O4 0.125 0.457 0.555
O5 0.191 0.517 0.782
O6 0.314 0.977 0.220
O7 0.377 0.032 0.446
O8 0.388 0.695 0.793
O9 0.457 0.125 0.862
O10 0.468 0.740 0.059
O11 0.517 0.191 0.510
O12 0.562 0.689 0.300
O13 0.689 0.562 0.448
O14 0.695 0.388 0.125
O15 0.740 0.468 0.733
O16 0.761 0.030 0.273
O17 0.802 0.950 0.561
O18 0.804 0.105 0.873
O19 0.950 0.802 0.688
O20 0.977 0.314 0.489